Record 1
# SiP2

A relaxed structure of SiP2 (GGA-PBE, the Materials Project database).

a b c (Å): 3.449 10.291 15.965
angles (deg): 90.00 90.00 90.00
Positions (direct):
1 Si 0.000 0.589 0.833
2 Si 0.000 0.411 0.167
3 Si 0.000 0.089 0.667
4 Si 0.000 0.911 0.333
5 Si 0.500 0.805 0.732
6 Si 0.500 0.195 0.268
7 Si 0.500 0.305 0.768
8 Si 0.500 0.695 0.232
9 P 0.000 0.671 0.701
10 P 0.000 0.329 0.299
11 P 0.000 0.171 0.799
12 P 0.000 0.829 0.201
13 P 0.000 0.758 0.926
14 P 0.000 0.242 0.074
15 P 0.000 0.258 0.574
16 P 0.000 0.742 0.426
17 P 0.500 0.874 0.872
18 P 0.500 0.126 0.128
19 P 0.500 0.374 0.628
20 P 0.500 0.626 0.372
21 P 0.500 0.960 0.630
22 P 0.500 0.040 0.370
23 P 0.500 0.460 0.870
24 P 0.500 0.540 0.130

* energy above the lowest structure with this stoichiometry: 0.0 meV per atom
* SG: Pbam, No. 55
* energy of formation from the pure elements: -12 kJ/mol of atoms

Record 2
# LiTmSn2

A relaxed structure of LiTmSn2 (GGA-PBE, the Materials Project database).

a b c (Å): 9.850 9.850 4.484
angles (deg): 90.00 90.00 154.73
Positions (direct):
1 Li 0.673 0.327 0.750
2 Li 0.327 0.673 0.250
3 Tm 0.895 0.105 0.750
4 Tm 0.105 0.895 0.250
5 Sn 0.545 0.455 0.750
6 Sn 0.455 0.545 0.250
7 Sn 0.252 0.748 0.750
8 Sn 0.748 0.252 0.250

* SG: Cmcm, No. 63
* energy of formation from the pure elements: -34 kJ/mol of atoms

Record 3
# Li3Tb3Te2O12

A relaxed structure of Li3Tb3Te2O12 (GGA-PBE, the Materials Project database).

a b c (Å): 10.785 10.785 10.785
angles (deg): 109.47 109.47 109.47
Positions (direct):
1 Li 0.250 0.625 0.375
2 Li 0.750 0.375 0.625
3 Li 0.750 0.875 0.125
4 Li 0.375 0.250 0.625
5 Li 0.625 0.750 0.375
6 Li 0.250 0.125 0.875
7 Li 0.125 0.750 0.875
8 Li 0.875 0.250 0.125
9 Li 0.625 0.375 0.250
10 Li 0.375 0.625 0.750
11 Li 0.875 0.125 0.750
12 Li 0.125 0.875 0.250
13 Tb 0.250 0.375 0.125
14 Tb 0.750 0.625 0.875
15 Tb 0.750 0.125 0.375
16 Tb 0.125 0.250 0.375
17 Tb 0.375 0.750 0.125
18 Tb 0.250 0.875 0.625
19 Tb 0.875 0.750 0.625
20 Tb 0.625 0.250 0.875
21 Tb 0.375 0.125 0.250
22 Tb 0.625 0.875 0.750
23 Tb 0.125 0.375 0.750
24 Tb 0.875 0.625 0.250
25 Te 0.000 0.000 0.000
26 Te 0.500 0.000 0.500
27 Te 0.000 0.500 0.500
28 Te 0.500 0.000 0.000
29 Te 0.500 0.500 0.000
30 Te 0.500 0.500 0.500
31 Te 0.000 0.000 0.500
32 Te 0.000 0.500 0.000
33 O 0.473 0.380 0.301
34 O 0.527 0.620 0.699
35 O 0.579 0.172 0.199
36 O 0.921 0.120 0.593
37 O 0.301 0.473 0.380
38 O 0.328 0.921 0.301
39 O 0.421 0.828 0.801
40 O 0.079 0.880 0.407
41 O 0.699 0.527 0.620
42 O 0.672 0.079 0.699
43 O 0.027 0.328 0.907
44 O 0.199 0.579 0.172
45 O 0.120 0.027 0.199
46 O 0.973 0.672 0.093
47 O 0.801 0.421 0.828
48 O 0.880 0.973 0.801
49 O 0.593 0.921 0.120
50 O 0.172 0.473 0.593
51 O 0.407 0.079 0.880
52 O 0.828 0.527 0.407
53 O 0.907 0.027 0.328
54 O 0.380 0.579 0.907
55 O 0.093 0.973 0.672
56 O 0.620 0.421 0.093
57 O 0.380 0.301 0.473
58 O 0.579 0.907 0.380
59 O 0.620 0.699 0.527
60 O 0.421 0.093 0.620
61 O 0.120 0.593 0.921
62 O 0.027 0.199 0.120
63 O 0.880 0.407 0.079
64 O 0.973 0.801 0.880
65 O 0.328 0.907 0.027
66 O 0.921 0.301 0.328
67 O 0.672 0.093 0.973
68 O 0.079 0.699 0.672
69 O 0.172 0.199 0.579
70 O 0.473 0.593 0.172
71 O 0.828 0.801 0.421
72 O 0.527 0.407 0.828
73 O 0.301 0.328 0.921
74 O 0.699 0.672 0.079
75 O 0.199 0.120 0.027
76 O 0.801 0.880 0.973
77 O 0.907 0.380 0.579
78 O 0.093 0.620 0.421
79 O 0.593 0.172 0.473
80 O 0.407 0.828 0.527

* SG: Ia-3d, No. 230
* energy of formation from the pure elements: -267 kJ/mol of atoms

Record 4
# Nb4SiTe4

A relaxed structure of Nb4SiTe4 (GGA-PBE, the Materials Project database).

a b c (Å): 4.875 10.982 19.119
angles (deg): 90.00 90.00 90.00
Positions (direct):
1 Nb 0.500 0.564 0.384
2 Nb 0.500 0.436 0.616
3 Nb 0.500 0.064 0.116
4 Nb 0.500 0.936 0.884
5 Nb 0.500 0.703 0.536
6 Nb 0.500 0.297 0.464
7 Nb 0.500 0.203 0.964
8 Nb 0.500 0.797 0.036
9 Nb 0.000 0.688 0.443
10 Nb 0.000 0.312 0.557
11 Nb 0.000 0.188 0.057
12 Nb 0.000 0.812 0.943
13 Nb 0.000 0.401 0.392
14 Nb 0.000 0.599 0.608
15 Nb 0.000 0.901 0.108
16 Nb 0.000 0.099 0.892
17 Si 0.250 0.500 0.500
18 Si 0.750 0.000 0.000
19 Si 0.750 0.500 0.500
20 Si 0.250 0.000 0.000
21 Te 0.000 0.846 0.562
22 Te 0.000 0.154 0.438
23 Te 0.000 0.346 0.938
24 Te 0.000 0.654 0.062
25 Te 0.500 0.332 0.316
26 Te 0.500 0.668 0.684
27 Te 0.500 0.832 0.184
28 Te 0.500 0.168 0.816
29 Te 0.500 0.821 0.403
30 Te 0.500 0.179 0.597
31 Te 0.500 0.321 0.097
32 Te 0.500 0.679 0.903
33 Te 0.000 0.608 0.302
34 Te 0.000 0.392 0.698
35 Te 0.000 0.108 0.198
36 Te 0.000 0.892 0.802

* SG: Pbam, No. 55
* energy of formation from the pure elements: -79 kJ/mol of atoms

Record 5
# ZrGePt

A relaxed structure of ZrGePt (GGA-PBE, the Materials Project database).

a b c (Å): 4.016 6.730 7.756
angles (deg): 90.00 90.00 90.00
Positions (direct):
1 Zr 0.250 0.027 0.317
2 Zr 0.250 0.527 0.183
3 Zr 0.750 0.973 0.683
4 Zr 0.750 0.473 0.817
5 Ge 0.250 0.255 0.621
6 Ge 0.250 0.755 0.879
7 Ge 0.750 0.745 0.379
8 Ge 0.750 0.245 0.121
9 Pt 0.250 0.145 0.937
10 Pt 0.250 0.645 0.563
11 Pt 0.750 0.855 0.063
12 Pt 0.750 0.355 0.437

* SG: Pnma, No. 62
* energy of formation from the pure elements: -95 kJ/mol of atoms

Record 6
# Pr10Se14O

A relaxed structure of Pr10Se14O (GGA-PBE, the Materials Project database).

a b c (Å): 15.364 15.364 15.364
angles (deg): 117.81 117.81 93.83
Positions (direct):
1 Pr 0.561 0.695 0.124
2 Pr 0.189 0.555 0.376
3 Pr 0.689 0.313 0.633
4 Pr 0.293 0.146 0.593
5 Pr 0.180 0.813 0.624
6 Pr 0.133 0.367 0.500
7 Pr 0.457 0.104 0.907
8 Pr 0.801 0.948 0.593
9 Pr 0.552 0.699 0.407
10 Pr 0.570 0.437 0.876
11 Pr 0.367 0.867 0.233
12 Pr 0.117 0.117 0.733
13 Pr 0.957 0.051 0.353
14 Pr 0.896 0.802 0.353
15 Pr 0.633 0.133 0.767
16 Pr 0.187 0.811 0.367
17 Pr 0.383 0.383 0.267
18 Pr 0.563 0.439 0.133
19 Pr 0.698 0.604 0.647
20 Pr 0.949 0.302 0.907
21 Pr 0.854 0.448 0.147
22 Pr 0.396 0.043 0.093
23 Pr 0.793 0.199 0.147
24 Pr 0.198 0.551 0.093
25 Pr 0.354 0.207 0.407
26 Pr 0.687 0.320 0.376
27 Pr 0.063 0.930 0.124
28 Pr 0.867 0.633 0.500
29 Pr 0.445 0.820 0.633
30 Pr 0.945 0.311 0.624
31 Pr 0.052 0.646 0.853
32 Pr 0.617 0.883 0.000
33 Pr 0.883 0.617 0.000
34 Pr 0.449 0.543 0.647
35 Pr 0.301 0.707 0.853
36 Pr 0.805 0.939 0.876
37 Pr 0.061 0.937 0.867
38 Pr 0.070 0.195 0.133
39 Pr 0.680 0.055 0.367
40 Pr 0.305 0.430 0.867
41 Se 0.491 0.100 0.346
42 Se 0.259 0.150 0.154
43 Se 0.980 0.875 0.605
44 Se 0.625 0.520 0.395
45 Se 0.991 0.645 0.391
46 Se 0.117 0.335 0.859
47 Se 0.353 0.375 0.664
48 Se 0.711 0.689 0.336
49 Se 0.476 0.258 0.141
50 Se 0.742 0.883 0.218
51 Se 0.939 0.461 0.836
52 Se 0.350 0.241 0.846
53 Se 0.270 0.375 0.395
54 Se 0.397 0.875 0.836
55 Se 0.585 0.867 0.359
56 Se 0.039 0.561 0.164
57 Se 0.355 0.746 0.346
58 Se 0.008 0.367 0.282
59 Se 0.996 0.105 0.846
60 Se 0.633 0.915 0.641
61 Se 0.400 0.009 0.654
62 Se 0.759 0.605 0.109
63 Se 0.125 0.961 0.522
64 Se 0.976 0.835 0.218
65 Se 0.480 0.875 0.105
66 Se 0.855 0.509 0.609
67 Se 0.754 0.145 0.654
68 Se 0.625 0.103 0.164
69 Se 0.900 0.246 0.391
70 Se 0.311 0.647 0.022
71 Se 0.395 0.504 0.154
72 Se 0.774 0.415 0.282
73 Se 0.508 0.226 0.641
74 Se 0.125 0.147 0.336
75 Se 0.211 0.875 0.022
76 Se 0.274 0.992 0.359
77 Se 0.625 0.020 0.895
78 Se 0.085 0.726 0.718
79 Se 0.133 0.492 0.718
80 Se 0.625 0.289 0.978
81 Se 0.496 0.650 0.891
82 Se 0.617 0.758 0.782
83 Se 0.439 0.603 0.478
84 Se 0.125 0.730 0.105
85 Se 0.853 0.189 0.978
86 Se 0.665 0.524 0.782
87 Se 0.254 0.600 0.609
88 Se 0.125 0.230 0.605
89 Se 0.165 0.383 0.141
90 Se 0.850 0.004 0.109
91 Se 0.539 0.375 0.478
92 Se 0.770 0.375 0.895
93 Se 0.811 0.789 0.664
94 Se 0.897 0.061 0.522
95 Se 0.895 0.741 0.891
96 Se 0.242 0.024 0.859
97 O 0.750 0.250 0.500
98 O 0.500 0.500 0.000
99 O 0.250 0.750 0.500
100 O 0.000 0.000 0.000

* SG: I4_1/acd, No. 142
* energy of formation from the pure elements: -195 kJ/mol of atoms

Record 7
# Dy4MgRu

A relaxed structure of Dy4MgRu (GGA-PBE, the Materials Project database).

a b c (Å): 9.710 9.710 9.710
angles (deg): 60.00 60.00 60.00
Positions (direct):
1 Dy 0.344 0.344 0.344
2 Dy 0.344 0.344 0.968
3 Dy 0.344 0.968 0.344
4 Dy 0.968 0.344 0.344
5 Dy 0.814 0.186 0.186
6 Dy 0.186 0.814 0.814
7 Dy 0.186 0.814 0.186
8 Dy 0.814 0.186 0.814
9 Dy 0.186 0.186 0.814
10 Dy 0.814 0.814 0.186
11 Dy 0.937 0.563 0.563
12 Dy 0.563 0.937 0.937
13 Dy 0.563 0.937 0.563
14 Dy 0.937 0.563 0.937
15 Dy 0.563 0.563 0.937
16 Dy 0.937 0.937 0.563
17 Mg 0.579 0.579 0.579
18 Mg 0.579 0.579 0.263
19 Mg 0.579 0.263 0.579
20 Mg 0.263 0.579 0.579
21 Ru 0.139 0.139 0.139
22 Ru 0.139 0.139 0.582
23 Ru 0.139 0.582 0.139
24 Ru 0.582 0.139 0.139

* SG: F-43m, No. 216
* energy of formation from the pure elements: -24 kJ/mol of atoms

Record 8
# IrN4Cl3O

A relaxed structure of IrN4Cl3O (GGA-PBE, the Materials Project database).

a b c (Å): 6.511 7.183 15.923
angles (deg): 90.00 90.00 90.00
Positions (direct):
1 Ir 0.250 0.330 0.650
2 Ir 0.250 0.170 0.150
3 Ir 0.750 0.670 0.350
4 Ir 0.750 0.830 0.850
5 N 0.250 0.119 0.439
6 N 0.250 0.381 0.939
7 N 0.750 0.881 0.561
8 N 0.750 0.619 0.061
9 N 0.250 0.523 0.714
10 N 0.250 0.977 0.214
11 N 0.750 0.477 0.286
12 N 0.750 0.023 0.786
13 N 0.467 0.327 0.578
14 N 0.033 0.173 0.078
15 N 0.967 0.673 0.422
16 N 0.533 0.827 0.922
17 N 0.533 0.673 0.422
18 N 0.967 0.827 0.922
19 N 0.033 0.327 0.578
20 N 0.467 0.173 0.078
21 Cl 0.250 0.646 0.427
22 Cl 0.250 0.854 0.927
23 Cl 0.750 0.354 0.573
24 Cl 0.750 0.146 0.073
25 Cl 0.463 0.148 0.380
26 Cl 0.037 0.352 0.880
27 Cl 0.963 0.852 0.620
28 Cl 0.537 0.648 0.120
29 Cl 0.537 0.852 0.620
30 Cl 0.963 0.648 0.120
31 Cl 0.037 0.148 0.380
32 Cl 0.463 0.352 0.880
33 O 0.250 0.126 0.715
34 O 0.250 0.374 0.215
35 O 0.750 0.874 0.285
36 O 0.750 0.626 0.785

* SG: Pnma, No. 62
* energy of formation from the pure elements: 94 kJ/mol of atoms

Record 9
# In3Sb

A relaxed structure of In3Sb (GGA-PBE, the Materials Project database).

a b c (Å): 4.837 4.837 4.837
angles (deg): 90.00 90.00 90.00
Positions (direct):
1 In 0.500 0.500 0.000
2 In 0.500 0.000 0.500
3 In 0.000 0.500 0.500
4 Sb 0.000 0.000 0.000

* SG: Pm-3m, No. 221
* energy of formation from the pure elements: -1 kJ/mol of atoms

Record 10
# RbSn2P3O12

A relaxed structure of RbSn2P3O12 (GGA-PBE, the Materials Project database).

a b c (Å): 9.478 9.478 9.478
angles (deg): 52.99 52.99 52.99
Positions (direct):
1 Rb 0.500 0.500 0.500
2 Rb 0.000 0.000 0.000
3 Sn 0.350 0.350 0.350
4 Sn 0.650 0.650 0.650
5 Sn 0.845 0.845 0.845
6 Sn 0.155 0.155 0.155
7 P 0.248 0.962 0.538
8 P 0.538 0.248 0.962
9 P 0.962 0.538 0.248
10 P 0.752 0.038 0.462
11 P 0.462 0.752 0.038
12 P 0.038 0.462 0.752
13 O 0.044 0.968 0.679
14 O 0.679 0.044 0.968
15 O 0.968 0.679 0.044
16 O 0.956 0.032 0.321
17 O 0.321 0.956 0.032
18 O 0.032 0.321 0.956
19 O 0.262 0.126 0.521
20 O 0.521 0.262 0.126
21 O 0.126 0.521 0.262
22 O 0.738 0.874 0.479
23 O 0.479 0.738 0.874
24 O 0.874 0.479 0.738
25 O 0.394 0.772 0.621
26 O 0.621 0.394 0.772
27 O 0.772 0.621 0.394
28 O 0.606 0.228 0.379
29 O 0.379 0.606 0.228
30 O 0.228 0.379 0.606
31 O 0.292 0.973 0.346
32 O 0.346 0.292 0.973
33 O 0.973 0.346 0.292
34 O 0.708 0.027 0.654
35 O 0.654 0.708 0.027
36 O 0.027 0.654 0.708

* SG: R-3, No. 148
* energy of formation from the pure elements: -245 kJ/mol of atoms